CoH2O2, optimized geometry, DFT PBE with a Hubbard U; M_tot = 3.00 μB per formula unit; total DFT energy (no corrections) = -5.388 eV per atom; maximum piezoelectric response = 0.8 C/m2; distance to the lowest polymorph of the same formula = 14 meV/atom; SG = C2 (5)
1.0
-2.476 2.000 0.183
-1.743 0.060 2.669
2.688 3.490 1.930
Co H O
1 2 2
direct
0.022 0.978 0.000 Co
0.816 0.595 0.585 H
0.405 0.184 0.415 H
0.719 0.648 0.781 O
0.352 0.281 0.219 O